A plane-wave DFT calculation with r²SCAN was carried out for crystalline SrDy2S4 at its relaxed geometry.

```
SrDy2S4
1.0
3.988 0.000 0.000
0.000 12.011 0.000
0.000 0.000 14.324
S Dy Sr
16 8 4
Direct
0.250 0.521 0.284 S
0.750 0.585 0.079 S
0.750 0.979 0.784 S
0.750 0.791 0.326 S
0.250 0.130 0.974 S
0.750 0.479 0.716 S
0.250 0.630 0.526 S
0.750 0.291 0.174 S
0.250 0.415 0.921 S
0.250 0.709 0.826 S
0.250 0.021 0.216 S
0.750 0.085 0.421 S
0.750 0.370 0.474 S
0.250 0.915 0.579 S
0.250 0.209 0.674 S
0.750 0.870 0.026 S
0.750 0.069 0.610 Dy
0.250 0.431 0.110 Dy
0.250 0.931 0.390 Dy
0.250 0.920 0.899 Dy
0.750 0.080 0.101 Dy
0.750 0.580 0.399 Dy
0.750 0.569 0.890 Dy
0.250 0.420 0.601 Dy
0.750 0.743 0.661 Sr
0.250 0.257 0.339 Sr
0.250 0.757 0.161 Sr
0.750 0.243 0.839 Sr
```

Summary:
**Total magnetic moment**: 0.00 μB per formula unit
**Calculated density**: 5.24 Mg/m³
**E_tot**: -513.28 eV per cell
**Space group**: No. 62
**Formation energy**: -2.439 eV per atom